A plane-wave DFT calculation with meta-GGA r2SCAN was carried out for a geometry-optimized La4Pb3 structure.

Summary:
ΔE_f: -0.85 eV per atom
Symmetry: I-43d, No. 220
Density: 8.0 Mg/m³

extended XYZ file:
```
14
Lattice="1.923 -1.764 -8.190 -0.965 -7.344 4.363 -7.314 4.506 0.320" Properties=species:S:1:pos:R:3 pbc="T T T"
La 0.215 -4.312 -0.790
La 1.176 -5.194 -4.885
La -4.050 -2.933 -2.235
La -1.692 0.752 -3.979
La -0.872 -0.632 -0.481
La -4.490 -4.083 3.924
La -5.349 3.005 -3.819
La -4.007 -0.411 1.743
Pb -3.924 0.917 -6.381
Pb -0.317 -7.186 -2.285
Pb -2.865 -3.341 0.799
Pb -0.989 -2.730 -3.403
Pb -6.883 -1.786 2.528
Pb -4.091 0.318 -1.781
```

***

A plane-wave DFT calculation with meta-GGA r2SCAN was carried out for a geometry-optimized La2Sn3Pb3 structure.

Summary:
ΔE_f: -0.55 eV per atom
Symmetry: Pmmm, No. 47
Density: 9.0 Mg/m³

extended XYZ file:
```
8
Lattice="4.877 0.000 0.000 0.000 4.887 0.000 0.000 0.000 9.748" Properties=species:S:1:pos:R:3 pbc="T T T"
La 0.000 0.000 2.387
La 0.000 0.000 7.361
Sn 0.000 2.443 0.000
Sn 2.438 0.000 4.874
Sn 2.438 0.000 0.000
Pb 2.438 2.443 2.415
Pb 2.438 2.443 7.333
Pb 0.000 2.443 4.874
```

***

A plane-wave DFT calculation with meta-GGA r2SCAN was carried out for a geometry-optimized La2Tl3Pb3 structure.

Summary:
ΔE_f: -0.51 eV per atom
Symmetry: Pmmm, No. 47
Density: 10.7 Mg/m³

extended XYZ file:
```
8
Lattice="-1.564 -4.397 -1.404 3.926 -0.501 -2.807 4.908 -4.176 7.610" Properties=species:S:1:pos:R:3 pbc="T T T"
La 3.701 -3.150 5.739
La 1.207 -1.027 1.871
Tl 1.672 -4.287 3.103
Tl 1.963 -0.250 -1.403
Tl 4.417 -2.338 2.402
Pb 4.866 -5.584 3.608
Pb 2.404 -3.489 -0.209
Pb -0.782 -2.198 -0.702
```

***

A plane-wave DFT calculation with meta-GGA r2SCAN was carried out for a geometry-optimized LaPd structure.

Summary:
ΔE_f: -0.86 eV per atom
Symmetry: Cmcm, No. 63
Density: 8.0 Mg/m³

extended XYZ file:
```
4
Lattice="-3.986 0.000 0.000 0.000 0.000 -4.658 -1.993 -5.517 0.000" Properties=species:S:1:pos:R:3 pbc="T T T"
La -1.993 -4.026 -3.494
La -3.986 -1.492 -1.165
Pd -1.993 -0.962 -3.494
Pd -3.986 -4.555 -1.165
```

***

A plane-wave DFT calculation with meta-GGA r2SCAN was carried out for a geometry-optimized La7Pd3 structure.

Summary:
ΔE_f: -0.54 eV per atom
Symmetry: P6_3mc, No. 186
Density: 7.0 Mg/m³

extended XYZ file:
```
20
Lattice="4.063 3.427 -3.958 7.264 -7.291 1.145 -6.891 -0.720 -7.696" Properties=species:S:1:pos:R:3 pbc="T T T"
La -0.315 -1.345 -6.559
La 6.434 -1.821 -5.590
La -4.133 -0.715 -7.547
La 0.400 -5.263 -6.832
La 0.167 -0.265 -2.744
La 8.505 -3.924 -2.900
La 3.973 0.624 -3.615
La 4.205 -4.373 -7.703
La 2.494 -2.737 -4.695
La 5.328 -5.582 -4.248
La 5.183 -2.456 -1.692
La 3.489 -0.543 -7.321
La 0.655 2.301 -7.768
La 0.801 -0.824 -10.324
Pd 5.394 -5.380 -1.298
Pd 2.237 -2.212 -1.796
Pd 2.399 -5.693 -4.643
Pd -1.394 0.427 -8.786
Pd 1.763 -2.741 -8.288
Pd 1.601 0.740 -5.441
```

***

A plane-wave DFT calculation with meta-GGA r2SCAN was carried out for a geometry-optimized LaPd3S4 structure.

Summary:
ΔE_f: -1.11 eV per atom
Symmetry: Pm-3n, No. 223
Density: 6.3 Mg/m³

extended XYZ file:
```
16
Lattice="6.765 0.000 0.000 0.000 6.765 0.000 0.000 0.000 6.765" Properties=species:S:1:pos:R:3 pbc="T T T"
La 3.383 3.383 3.383
La 0.000 0.000 0.000
Pd 5.074 0.000 3.383
Pd 3.383 5.074 0.000
Pd 0.000 3.383 5.074
Pd 0.000 3.383 1.691
Pd 1.691 0.000 3.383
Pd 3.383 1.691 0.000
S 5.074 1.691 1.691
S 1.691 1.691 5.074
S 1.691 5.074 1.691
S 5.074 5.074 5.074
S 1.691 5.074 5.074
S 5.074 5.074 1.691
S 1.691 1.691 1.691
S 5.074 1.691 5.074
```

***

A plane-wave DFT calculation with meta-GGA r2SCAN was carried out for a geometry-optimized LaSbPd structure.

Summary:
ΔE_f: -1.27 eV per atom
Symmetry: P6_3/mmc, No. 194
Density: 7.9 Mg/m³

extended XYZ file:
```
6
Lattice="-0.184 0.265 -4.611 -3.906 -0.057 2.469 0.175 8.277 0.469" Properties=species:S:1:pos:R:3 pbc="T T T"
La 0.088 4.138 0.235
La 0.000 0.000 0.000
Sb -2.534 6.258 0.461
Sb -1.381 2.227 -2.133
Pd -2.622 2.119 0.227
Pd -1.293 6.365 -1.899
```

***

A plane-wave DFT calculation with meta-GGA r2SCAN was carried out for a geometry-optimized LaSbPd structure.

Summary:
ΔE_f: -1.27 eV per atom
Symmetry: P6_3mc, No. 186
Density: 8.0 Mg/m³

extended XYZ file:
```
6
Lattice="-2.312 -4.005 0.000 -2.312 4.005 0.000 0.000 0.000 -8.249" Properties=species:S:1:pos:R:3 pbc="T T T"
La 0.000 0.000 -8.229
La 0.000 0.000 -4.105
Sb -2.312 -1.335 -6.082
Sb -2.312 1.335 -1.957
Pd -2.312 -1.335 -2.261
Pd -2.312 1.335 -6.386
```

***

Repeat the first record exactly.
A plane-wave DFT calculation with meta-GGA r2SCAN was carried out for a geometry-optimized La4Pb3 structure.

Summary:
ΔE_f: -0.85 eV per atom
Symmetry: I-43d, No. 220
Density: 8.0 Mg/m³

extended XYZ file:
```
14
Lattice="1.923 -1.764 -8.190 -0.965 -7.344 4.363 -7.314 4.506 0.320" Properties=species:S:1:pos:R:3 pbc="T T T"
La 0.215 -4.312 -0.790
La 1.176 -5.194 -4.885
La -4.050 -2.933 -2.235
La -1.692 0.752 -3.979
La -0.872 -0.632 -0.481
La -4.490 -4.083 3.924
La -5.349 3.005 -3.819
La -4.007 -0.411 1.743
Pb -3.924 0.917 -6.381
Pb -0.317 -7.186 -2.285
Pb -2.865 -3.341 0.799
Pb -0.989 -2.730 -3.403
Pb -6.883 -1.786 2.528
Pb -4.091 0.318 -1.781
```

***

Copy entry 5 word for word.
A plane-wave DFT calculation with meta-GGA r2SCAN was carried out for a geometry-optimized La7Pd3 structure.

Summary:
ΔE_f: -0.54 eV per atom
Symmetry: P6_3mc, No. 186
Density: 7.0 Mg/m³

extended XYZ file:
```
20
Lattice="4.063 3.427 -3.958 7.264 -7.291 1.145 -6.891 -0.720 -7.696" Properties=species:S:1:pos:R:3 pbc="T T T"
La -0.315 -1.345 -6.559
La 6.434 -1.821 -5.590
La -4.133 -0.715 -7.547
La 0.400 -5.263 -6.832
La 0.167 -0.265 -2.744
La 8.505 -3.924 -2.900
La 3.973 0.624 -3.615
La 4.205 -4.373 -7.703
La 2.494 -2.737 -4.695
La 5.328 -5.582 -4.248
La 5.183 -2.456 -1.692
La 3.489 -0.543 -7.321
La 0.655 2.301 -7.768
La 0.801 -0.824 -10.324
Pd 5.394 -5.380 -1.298
Pd 2.237 -2.212 -1.796
Pd 2.399 -5.693 -4.643
Pd -1.394 0.427 -8.786
Pd 1.763 -2.741 -8.288
Pd 1.601 0.740 -5.441
```

***

> What is the ΔE_f in the second record?

-0.55 eV per atom

***

> The lowest density belongs to which entry?

LaPd3S4